12
Lattice="9.637 0.000 0.000 0.000 3.935 0.000 0.000 0.000 7.487" Properties=species:S:1:pos:R:3 comment="MoCl2O3 | the Materials Project | GGA+U | relaxed" e_above_lowest_polymorph_mev_per_atom=0.0 sg="Pmn2_1, No. 31" pbc="T T T"
Mo 0.000 0.710 0.000
Mo 4.819 3.225 3.743
Cl 2.244 1.041 0.595
Cl 2.575 2.894 4.338
Cl 7.062 2.894 4.338
Cl 7.394 1.041 0.595
O 0.000 0.897 5.788
O 0.000 1.058 2.180
O 0.000 2.869 0.244
O 4.819 1.066 3.987
O 4.819 2.877 5.924
O 4.819 3.038 2.045



40
Lattice="6.727 0.000 0.000 0.000 13.858 0.000 -2.725 0.000 12.542" Properties=species:S:1:pos:R:3 comment="MoPCl6O2 | the Materials Project | GGA+U | relaxed" sg="P2_1/c, No. 14" pbc="T T T"
Mo 0.449 1.822 0.284
Mo -0.913 5.107 6.555
Mo 4.915 8.750 5.987
Mo 3.552 12.036 12.258
P 1.896 0.452 3.459
P 0.533 6.477 9.730
P 3.468 7.380 2.812
P 2.106 13.406 9.083
Cl -0.294 3.294 1.954
Cl -1.657 3.635 8.225
Cl 0.028 7.128 5.376
Cl -1.334 13.658 11.647
Cl 0.408 0.501 4.791
Cl -0.955 6.427 11.062
Cl 2.539 2.851 0.104
Cl 1.177 4.078 6.375
Cl 2.164 8.756 2.211
Cl 0.801 12.030 8.482
Cl 1.210 1.297 8.812
Cl 2.573 5.632 2.541
Cl 1.429 8.226 10.001
Cl 2.792 12.561 3.730
Cl 3.201 1.827 4.060
Cl 1.838 5.102 10.331
Cl 2.825 9.780 6.167
Cl 1.462 11.007 12.438
Cl 4.956 7.430 1.480
Cl 3.593 13.356 7.751
Cl 5.336 0.199 0.895
Cl 3.973 6.730 7.166
Cl 5.658 10.223 4.317
Cl 4.296 10.564 10.588
O -1.012 9.384 7.340
O 0.351 11.403 1.069
O 1.431 0.647 2.066
O 0.069 6.281 8.337
O 3.933 7.576 4.205
O 2.570 13.210 10.476
O 3.651 2.455 11.473
O 5.013 4.474 5.202



44
Lattice="17.239 0.000 0.000 0.000 8.421 0.000 0.000 0.000 9.302" Properties=species:S:1:pos:R:3 comment="MoPCl8O | the Materials Project | GGA+U | relaxed" sg="Pnma, No. 62" pbc="T T T"
Mo 2.534 2.105 0.726
Mo 6.085 6.316 5.377
Mo 11.153 2.105 3.925
Mo 14.705 6.316 8.576
P 1.313 2.105 6.687
P 7.307 6.316 2.036
P 9.932 2.105 7.266
P 15.926 6.316 2.615
Cl 0.535 6.316 3.334
Cl 0.556 2.105 2.002
Cl 2.215 0.519 5.911
Cl 2.215 3.692 5.911
Cl 2.387 4.394 0.466
Cl 2.387 8.238 0.466
Cl 3.812 2.105 2.628
Cl 4.117 6.316 4.029
Cl 4.503 2.105 8.681
Cl 4.807 6.316 7.280
Cl 6.233 0.183 5.117
Cl 6.233 4.028 5.117
Cl 6.405 4.729 1.260
Cl 6.405 7.903 1.260
Cl 8.064 6.316 6.653
Cl 8.084 2.105 7.985
Cl 9.155 6.316 1.317
Cl 9.175 2.105 2.649
Cl 10.834 0.519 8.042
Cl 10.834 3.692 8.042
Cl 11.006 4.394 4.185
Cl 11.006 8.238 4.185
Cl 12.432 2.105 2.023
Cl 12.736 6.316 0.622
Cl 13.122 2.105 5.273
Cl 13.427 6.316 6.674
Cl 14.852 0.183 8.836
Cl 14.852 4.028 8.836
Cl 15.024 4.729 3.391
Cl 15.024 7.903 3.391
Cl 16.683 6.316 7.300
Cl 16.704 2.105 5.968
O 1.283 2.105 8.180
O 7.336 6.316 3.529
O 9.903 2.105 5.774
O 15.956 6.316 1.123



18
Lattice="6.574 0.000 0.000 0.000 6.574 0.000 0.000 0.000 7.638" Properties=species:S:1:pos:R:3 comment="RbMoPClO5 | the Materials Project | GGA+U | relaxed" sg="P4/nmm, No. 129" pbc="T T T"
Rb 1.643 4.930 0.000
Rb 4.930 1.643 0.000
Mo 1.643 1.643 3.126
Mo 4.930 4.930 4.512
P 1.643 4.930 3.819
P 4.930 1.643 3.819
Cl 1.643 1.643 0.515
Cl 4.930 4.930 7.123
O 0.415 4.930 4.764
O 1.643 1.643 4.828
O 1.643 3.702 2.873
O 1.643 6.159 2.873
O 2.872 4.930 4.764
O 3.702 1.643 2.873
O 4.930 0.415 4.764
O 4.930 2.872 4.764
O 4.930 4.930 2.810
O 6.159 1.643 2.873



22
Lattice="2.843 -6.681 0.000 2.843 6.681 0.000 0.000 0.000 11.215" Properties=species:S:1:pos:R:3 comment="MoPb3Cl2O5 | the Materials Project | GGA+U | relaxed" sg="Cmcm, No. 63" pbc="T T T"
Mo 2.843 3.552 8.411
Mo 2.843 -3.552 2.804
Pb 2.843 5.323 2.804
Pb 2.843 2.039 0.351
Pb 2.843 2.039 5.257
Pb 2.843 -2.039 5.958
Pb 2.843 -2.039 10.865
Pb 2.843 -5.323 8.411
Cl 0.000 0.000 0.000
Cl 0.000 0.000 5.608
Cl 2.843 0.294 8.411
Cl 2.843 -0.294 2.804
O 1.515 3.066 7.072
O 1.515 3.066 9.751
O 2.843 5.276 8.411
O 1.515 -3.066 1.465
O 1.515 -3.066 4.143
O 4.171 3.066 7.072
O 4.171 3.066 9.751
O 2.843 -5.276 2.804
O 4.171 -3.066 1.465
O 4.171 -3.066 4.143



56
Lattice="19.329 0.000 0.000 0.000 5.908 0.000 -0.011 0.000 7.959" Properties=species:S:1:pos:R:3 comment="PrMoClO4 | the Materials Project | GGA+U | relaxed" sg="P2_1/c, No. 14" pbc="T T T"
Pr 2.017 1.162 0.973
Pr 2.012 1.792 4.953
Pr 7.639 4.109 2.971
Pr 7.634 4.753 6.950
Pr 11.684 1.155 1.009
Pr 11.678 1.799 4.988
Pr 17.306 4.116 3.006
Pr 17.300 4.746 6.986
Mo 3.432 4.397 6.708
Mo 3.438 4.465 2.729
Mo 6.217 1.465 0.731
Mo 6.212 1.489 4.711
Mo 13.106 4.419 3.248
Mo 13.100 4.443 7.228
Mo 15.879 1.443 5.230
Mo 15.885 1.511 1.251
Cl 0.193 4.353 4.992
Cl 0.199 4.509 1.012
Cl 9.457 1.391 6.963
Cl 9.462 1.563 2.983
Cl 9.855 4.345 4.976
Cl 9.861 4.517 0.996
Cl 19.119 1.399 6.947
Cl 19.124 1.555 2.967
O 2.545 0.081 3.232
O 2.539 2.873 7.212
O 2.596 0.128 6.729
O 2.601 2.826 2.750
O 3.307 4.014 4.935
O 3.313 4.848 0.956
O 4.464 1.388 4.966
O 4.469 1.566 0.987
O 5.179 4.381 6.991
O 5.185 4.481 3.012
O 6.344 1.066 6.921
O 6.350 1.888 2.942
O 7.048 3.038 5.229
O 7.054 5.824 1.250
O 7.106 3.079 0.762
O 7.101 5.783 4.742
O 12.217 0.125 3.217
O 12.211 2.829 7.197
O 12.263 0.084 6.709
O 12.269 2.870 2.730
O 12.968 4.020 5.017
O 12.973 4.842 1.038
O 14.132 1.427 4.947
O 14.138 1.527 0.968
O 14.848 4.342 6.973
O 14.854 4.520 2.993
O 16.005 1.060 7.003
O 16.010 1.894 3.024
O 16.716 3.081 5.209
O 16.722 5.780 1.230
O 16.779 3.035 0.747
O 16.773 5.827 4.727



One value per record, in order, for formation energy from the elements: -0.81; -1.15; -0.91; -2.29; -1.66; -2.57 eV per atom.